# 1
Computed, not measured: a relaxed structure of Si2WO6 at the GGA+U level of DFT.

The structure in CIF format:
```
data_Si2WO6
_chemical_formula_sum 'Si8 W4 O24'
_symmetry_space_group_name_H-M 'C 1 2/c 1'
_symmetry_Int_Tables_number 15
_symmetry_space_group_name_Hall '-C 2yc'
_cell_length_a 9.849
_cell_length_b 9.224
_cell_length_c 5.440
_cell_angle_alpha 90.00
_cell_angle_beta 110.42
_cell_angle_gamma 90.00
loop_
_atom_site_label
_atom_site_type_symbol
_atom_site_fract_x
_atom_site_fract_y
_atom_site_fract_z
Si1 Si 0.194 0.081 0.243
W1 W 0.000 0.394 0.250
O1 O 0.123 0.435 0.639
O2 O 0.140 0.247 0.204
O3 O 0.141 0.003 0.463
```

Its energy with MP2020 corrections is -314.1 eV for the cell shown. The calculation puts the total magnetization at 8.00 μB per cell. The calculation puts the excess energy over the best structure of this formula in the dataset at 0.000 eV per atom. The calculation puts the formation energy at -2.782 eV/atom. As for the crystal system: monoclinic. The total DFT energy (no corrections) is -0.2857 Ha/atom.

# 2
Computed, not measured: a relaxed structure of Rb2Co2Mo3O12 at the GGA+U level of DFT.

The structure in CIF format:
```
data_Rb2Co2Mo3O12
_chemical_formula_sum 'Rb8 Co8 Mo12 O48'
_symmetry_space_group_name_H-M 'P 21 3'
_symmetry_Int_Tables_number 198
_symmetry_space_group_name_Hall 'P 2ac 2ab 3'
_cell_length_a 10.921
_cell_length_b 10.921
_cell_length_c 10.921
_cell_angle_alpha 90.00
_cell_angle_beta 90.00
_cell_angle_gamma 90.00
loop_
_atom_site_label
_atom_site_type_symbol
_atom_site_fract_x
_atom_site_fract_y
_atom_site_fract_z
Rb1 Rb 0.051 0.051 0.051
Rb2 Rb 0.182 0.318 0.682
Co1 Co 0.104 0.896 0.396
Co2 Co 0.163 0.663 0.837
Mo1 Mo 0.022 0.213 0.376
O1 O 0.015 0.566 0.769
O2 O 0.016 0.055 0.328
O3 O 0.049 0.809 0.238
O4 O 0.098 0.823 0.760
```

Its energy with MP2020 corrections is -567.7 eV for the cell shown. The calculation puts the total magnetization at 10.91 μB per cell. The calculation puts the formation energy at -1.780 eV/atom. As for the crystal system: cubic. The total DFT energy (no corrections) is -0.2336 Ha/atom.

# 3
Computed, not measured: a relaxed structure of Li3MnP2O8 at the GGA+U level of DFT.

The structure in CIF format:
```
data_Li3MnP2O8
_chemical_formula_sum 'Li12 Mn4 P8 O32'
_symmetry_space_group_name_H-M 'P 1 21 1'
_symmetry_Int_Tables_number 4
_symmetry_space_group_name_Hall 'P 2yb'
_cell_length_a 8.015
_cell_length_b 10.492
_cell_length_c 8.474
_cell_angle_alpha 90.00
_cell_angle_beta 107.68
_cell_angle_gamma 90.00
loop_
_atom_site_label
_atom_site_type_symbol
_atom_site_fract_x
_atom_site_fract_y
_atom_site_fract_z
Li1 Li 0.033 0.000 0.016
Li2 Li 0.115 0.090 0.353
Li3 Li 0.123 0.258 0.860
Li4 Li 0.149 0.570 0.420
Li5 Li 0.150 0.776 0.906
Li6 Li 0.310 0.273 0.594
Mn1 Mn 0.380 0.774 0.618
Mn2 Mn 0.387 0.581 0.118
P1 P 0.210 0.019 0.725
P2 P 0.226 0.338 0.225
P3 P 0.286 0.837 0.298
P4 P 0.295 0.510 0.804
O1 O 0.078 0.322 0.057
O2 O 0.081 0.044 0.553
O3 O 0.139 0.074 0.859
O4 O 0.174 0.268 0.362
O5 O 0.176 0.578 0.904
O6 O 0.185 0.761 0.403
O7 O 0.201 0.964 0.236
O8 O 0.228 0.378 0.745
O9 O 0.252 0.485 0.260
O10 O 0.252 0.874 0.755
O11 O 0.299 0.756 0.150
O12 O 0.301 0.595 0.658
O13 O 0.385 0.093 0.721
O14 O 0.402 0.284 0.206
O15 O 0.469 0.846 0.437
O16 O 0.473 0.509 0.947
```

Its energy with MP2020 corrections is -406.2 eV for the cell shown. The calculation puts the total magnetization at 16.00 μB per cell. The calculation puts the excess energy over the best structure of this formula in the dataset at 0.013 eV per atom. The calculation puts the formation energy at -2.590 eV/atom. As for the crystal system: monoclinic. The total DFT energy (no corrections) is -0.2478 Ha/atom.